Compound: SrCrO4
Source: the Materials Project
Functional: PBE+U
Structure: optimized geometry

```
SrCrO4
1.0
6.842 0.000 0.000
0.000 7.504 0.000
-5.195 0.000 7.015
Sr Cr O
4 4 16
direct
0.174 0.156 0.274
0.174 0.344 0.774
0.826 0.656 0.226
0.826 0.844 0.726
0.313 0.663 0.197
0.313 0.837 0.697
0.687 0.163 0.303
0.687 0.337 0.803
0.125 0.662 0.619
0.125 0.838 0.119
0.195 0.504 0.253
0.195 0.996 0.753
0.334 0.599 0.025
0.334 0.901 0.525
0.406 0.215 0.120
0.406 0.285 0.620
0.594 0.715 0.380
0.594 0.785 0.880
0.666 0.099 0.475
0.666 0.401 0.975
0.805 0.004 0.247
0.805 0.496 0.747
0.875 0.162 0.881
0.875 0.338 0.381
```

symmetry = P2_1/c
crystal system = monoclinic
formation energy from the elements = -236.3 kJ per mole of atoms
calculated volume = 15.0 Å³ per atom

***

Compound: Fe2Cl6O5
Source: the Materials Project
Functional: PBE+U
Structure: optimized geometry

```
Fe2Cl6O5
1.0
13.190 0.000 0.000
0.000 6.707 0.000
0.000 0.000 15.158
Fe Cl O
8 24 20
direct
0.018 0.011 0.000
0.226 0.562 0.286
0.274 0.562 0.786
0.482 0.011 0.500
0.518 0.989 0.000
0.726 0.438 0.286
0.774 0.438 0.786
0.982 0.989 0.500
0.028 0.340 0.978
0.054 0.129 0.383
0.078 0.056 0.615
0.127 0.412 0.786
0.153 0.293 0.222
0.173 0.894 0.012
0.327 0.894 0.512
0.347 0.293 0.722
0.373 0.412 0.286
0.422 0.056 0.115
0.446 0.129 0.883
0.472 0.340 0.478
0.528 0.660 0.978
0.554 0.871 0.383
0.578 0.944 0.615
0.627 0.588 0.786
0.653 0.707 0.222
0.673 0.106 0.012
0.827 0.106 0.512
0.847 0.707 0.722
0.873 0.588 0.286
0.922 0.944 0.115
0.946 0.871 0.883
0.972 0.660 0.478
0.162 0.715 0.217
0.168 0.561 0.594
0.181 0.555 0.386
0.212 0.800 0.796
0.235 0.453 0.567
0.265 0.453 0.067
0.288 0.800 0.296
0.319 0.555 0.886
0.332 0.561 0.094
0.338 0.715 0.717
0.662 0.285 0.217
0.668 0.439 0.594
0.681 0.445 0.386
0.712 0.200 0.796
0.735 0.547 0.567
0.765 0.547 0.067
0.788 0.200 0.296
0.819 0.445 0.886
0.832 0.439 0.094
0.838 0.285 0.717
```

symmetry = Pca2_1
crystal system = orthorhombic
polymorph energy (0 for the lowest one) = 92.5 meV/atom
formation energy from the elements = 15.2 kJ per mole of atoms
calculated volume = 25.8 Å³ per atom

***

Question: Look up the calculated volume of the second one.
Answer: 25.8 Å³ per atom

***

Question: What is the calculated volume in the second record?
Answer: 25.8 Å³ per atom

***

Question: Which value of calculated volume does entry 2 give?
Answer: 25.8 Å³ per atom

***

Question: Look up the calculated volume of the second one.
Answer: 25.8 Å³ per atom